A plane-wave DFT calculation with PBE was carried out for crystalline SbXeOF9 at its relaxed geometry.

Calculated values
The value obtained for the corrected total energy (MP2020 scheme) is -3.749 eV/atom. The volume comes out at 844.8 Å³/cell. The formation energy is -1554.1 meV/atom. As for the total energy: -3.3457 eV per atom.

a b c (Å): 8.8897 10.0212 10.4864
angles (deg): 109.59 93.42 103.76
With the nearest neighbours (Å) after each atom.
Sites, in units of the cell vectors:
F1 0.8706 0.5469 0.1916  1 Sb 1.89
F2 0.3429 0.5765 0.4900  1 Sb 1.89
F3 0.1435 0.7785 0.2818  1 Sb 1.90
F4 0.7844 0.6503 0.7866  1 Xe 1.99
F5 0.5288 0.6437 0.9798  1 Xe 1.99
F6 0.7410 0.1594 0.4038  1 Sb 1.90
F7 0.0779 0.2404 0.9242  1 Sb 1.90
F8 0.2994 0.2502 0.7581  1 Sb 1.97
F9 0.2156 0.3497 0.2134  1 Xe 1.99
F10 0.6517 0.7395 0.5883  1 Sb 1.96
F11 0.5223 0.1856 0.5755  1 Sb 1.92
F12 0.9826 0.6152 0.6098  1 Xe 2.00
F13 0.0870 0.2315 0.5589  1 Sb 1.92
F14 0.3483 0.2605 0.4117  1 Sb 1.96
F15 0.6571 0.4235 0.5100  1 Sb 1.89
F16 0.4712 0.3563 0.0202  1 Xe 1.99
F17 0.8239 0.9363 0.8476  1 Xe 2.00
F18 0.5630 0.9861 0.6922  1 Sb 1.99
F19 0.3864 0.0666 0.9080  1 Xe 2.01
F20 0.9672 0.9724 0.3243  1 Sb 1.98
F21 0.9130 0.7685 0.4411  1 Sb 1.92
F22 0.9221 0.7596 0.0758  1 Sb 1.90
F23 0.3348 0.5911 0.1488  1 Xe 2.00
F24 0.1294 0.4531 0.8084  1 Sb 1.89
F25 0.0328 0.0276 0.6757  1 Sb 1.98
F26 0.1761 0.0637 0.1524  1 Xe 2.00
F27 0.4777 0.8144 0.4245  1 Sb 1.92
F28 0.8565 0.2215 0.7182  1 Sb 1.90
F29 0.5653 0.2485 0.2394  1 Sb 1.90
F30 0.4347 0.7515 0.7606  1 Sb 1.90
F31 0.4370 0.0139 0.3078  1 Sb 1.99
F32 0.6136 0.9334 0.0920  1 Xe 2.01
F33 0.2590 0.8406 0.5962  1 Sb 1.90
F34 0.6652 0.4089 0.8512  1 Xe 2.00
F35 0.7006 0.7498 0.2419  1 Sb 1.97
F36 0.0174 0.3848 0.3902  1 Xe 2.00
Sb1 0.0760 0.2448 0.7445  6 F 1.89-1.98
Sb2 0.4450 0.7772 0.5898  6 F 1.89-1.99
Sb3 0.5550 0.2228 0.4102  6 F 1.89-1.99
Sb4 0.9240 0.7552 0.2555  6 F 1.89-1.98
O1 0.9010 0.1457 0.1511  1 Xe 1.82
O2 0.2888 0.7962 0.0351  1 Xe 1.82
O3 0.0990 0.8543 0.8489  1 Xe 1.82
O4 0.7112 0.2038 0.9649  1 Xe 1.82
Xe1 0.4551 0.7800 0.1332  1 O 1.82, 3 F 1.99-2.01
Xe2 0.0767 0.2061 0.2772  1 O 1.82, 3 F 1.99-2.00
Xe3 0.5449 0.2200 0.8668  1 O 1.82, 3 F 1.99-2.01
Xe4 0.9233 0.7939 0.7228  1 O 1.82, 3 F 1.99-2.00